DFT (PBE-GGA) results for a geometry-optimized KLaMg6 structure.

Spin magnetization (μB per formula unit): 0.00
E_tot (eV per atom): -1.78
Relative energy among the computed polymorphs (kcal/mol of atoms): 0.10

a = 5.3356 Å, b = 7.1899 Å, c = 12.1912 Å
α = 90.00°, β = 90.00°, γ = 90.00°
Last column: nearest neighbours and their distance in Å.
Fractional positions:
La  0.5000  0.5000  0.8414  10 Mg 3.38-3.61, 2 K 3.60
La  0.5000  0.0000  0.3414  10 Mg 3.38-3.61, 2 K 3.60
Mg  0.0000  0.0000  0.6432  6 Mg 3.10-3.37
Mg  0.5000  0.7351  0.5802  7 Mg 3.22-3.38, 1 La 3.48, 2 K 3.52-3.56
Mg  0.0000  0.2422  0.4332  4 Mg 3.10-3.34, 2 La 3.38
Mg  0.0000  0.5000  0.1432  6 Mg 3.10-3.37
Mg  0.0000  0.5000  0.6616  8 Mg 3.31-3.60, 2 La 3.45
Mg  0.0000  0.0000  0.1616  8 Mg 3.31-3.60, 2 La 3.45
Mg  0.5000  0.7649  0.0802  7 Mg 3.22-3.38, 1 La 3.48, 2 K 3.52-3.56
Mg  0.0000  0.2578  0.9332  4 Mg 3.10-3.34, 2 La 3.38
Mg  0.5000  0.2649  0.5802  7 Mg 3.22-3.38, 1 La 3.48, 2 K 3.52-3.56
Mg  0.0000  0.7578  0.4332  4 Mg 3.10-3.34, 2 La 3.38
Mg  0.0000  0.7422  0.9332  4 Mg 3.10-3.34, 2 La 3.38
Mg  0.5000  0.2351  0.0802  7 Mg 3.22-3.38, 1 La 3.48, 2 K 3.52-3.56
K  0.5000  0.0000  0.8269  10 Mg 3.48-3.56, 2 La 3.60
K  0.5000  0.5000  0.3269  10 Mg 3.48-3.56, 2 La 3.60

---

DFT (PBE-GGA) results for a geometry-optimized Mn3RhN structure.

Spin magnetization (μB per formula unit): 8.82
E_tot (eV per atom): -8.79

a = 3.9014 Å, b = 3.9014 Å, c = 3.9014 Å
α = 90.00°, β = 90.00°, γ = 90.00°
Last column: nearest neighbours and their distance in Å.
Fractional positions:
Mn  0.5000  0.0000  0.5000  2 N 1.95
Mn  0.0000  0.5000  0.5000  2 N 1.95
Mn  0.5000  0.5000  0.0000  2 N 1.95
Rh  0.0000  0.0000  0.0000  12 Mn 2.76
N  0.5000  0.5000  0.5000  6 Mn 1.95

---

Question: Which of these has the highest E_tot?
Answer: KLaMg6

---

Question: Which formula does entry 2 have?
Answer: Mn3RhN

---

Question: The lowest spin magnetization belongs to which entry?
Answer: KLaMg6

---

Repeat the first record exactly.
DFT (PBE-GGA) results for a geometry-optimized KLaMg6 structure.

Spin magnetization (μB per formula unit): 0.00
E_tot (eV per atom): -1.78
Relative energy among the computed polymorphs (kcal/mol of atoms): 0.10

a = 5.3356 Å, b = 7.1899 Å, c = 12.1912 Å
α = 90.00°, β = 90.00°, γ = 90.00°
Last column: nearest neighbours and their distance in Å.
Fractional positions:
La  0.5000  0.5000  0.8414  10 Mg 3.38-3.61, 2 K 3.60
La  0.5000  0.0000  0.3414  10 Mg 3.38-3.61, 2 K 3.60
Mg  0.0000  0.0000  0.6432  6 Mg 3.10-3.37
Mg  0.5000  0.7351  0.5802  7 Mg 3.22-3.38, 1 La 3.48, 2 K 3.52-3.56
Mg  0.0000  0.2422  0.4332  4 Mg 3.10-3.34, 2 La 3.38
Mg  0.0000  0.5000  0.1432  6 Mg 3.10-3.37
Mg  0.0000  0.5000  0.6616  8 Mg 3.31-3.60, 2 La 3.45
Mg  0.0000  0.0000  0.1616  8 Mg 3.31-3.60, 2 La 3.45
Mg  0.5000  0.7649  0.0802  7 Mg 3.22-3.38, 1 La 3.48, 2 K 3.52-3.56
Mg  0.0000  0.2578  0.9332  4 Mg 3.10-3.34, 2 La 3.38
Mg  0.5000  0.2649  0.5802  7 Mg 3.22-3.38, 1 La 3.48, 2 K 3.52-3.56
Mg  0.0000  0.7578  0.4332  4 Mg 3.10-3.34, 2 La 3.38
Mg  0.0000  0.7422  0.9332  4 Mg 3.10-3.34, 2 La 3.38
Mg  0.5000  0.2351  0.0802  7 Mg 3.22-3.38, 1 La 3.48, 2 K 3.52-3.56
K  0.5000  0.0000  0.8269  10 Mg 3.48-3.56, 2 La 3.60
K  0.5000  0.5000  0.3269  10 Mg 3.48-3.56, 2 La 3.60